Record 1
The following is a GGA-PBE calculation of TlCu2Se2O10 after structural relaxation, from the Materials Project.

## Properties
For the uncorrected energy, the calculation gives -0.1821 hartree per atom. The formation energy comes out at -945.1 meV per atom. Its symmetry is No. 12. The density comes out at 4.55 g/cm³.

Geometry as CIF:
```
data_TlCu2Se2O10
_cell_length_a 5.838
_cell_length_b 5.838
_cell_length_c 8.863
_cell_angle_alpha 65.03
_cell_angle_beta 65.03
_cell_angle_gamma 65.11
_symmetry_space_group_name_H-M 'P 1'
_symmetry_Int_Tables_number 1
_symmetry_space_group_name_Hall 'P 1'
loop_
_atom_site_label
_atom_site_fract_x
_atom_site_fract_y
_atom_site_fract_z
Tl1 0.500 0.500 0.500
Cu1 0.000 0.500 0.000
Cu2 0.500 0.000 0.000
Se1 0.063 0.063 0.731
Se2 0.937 0.937 0.269
O1 0.170 0.170 0.828
O2 0.830 0.830 0.172
O3 0.168 0.168 0.518
O4 0.832 0.832 0.482
O5 0.720 0.170 0.790
O6 0.170 0.720 0.790
O7 0.280 0.830 0.210
O8 0.830 0.280 0.210
O9 0.686 0.686 0.957
O10 0.314 0.314 0.043
```

Record 2
The following is a GGA-PBE calculation of DyTi2Ga4 after structural relaxation, from the Materials Project.

## Properties
For the uncorrected energy, the calculation gives -0.1903 hartree per atom. The formation energy comes out at -535.3 meV per atom. Its symmetry is No. 139. The density comes out at 7.12 g/cm³.

Geometry as CIF:
```
data_DyTi2Ga4
_cell_length_a 5.442
_cell_length_b 5.517
_cell_length_c 5.517
_cell_angle_alpha 75.92
_cell_angle_beta 60.45
_cell_angle_gamma 60.45
_symmetry_space_group_name_H-M 'P 1'
_symmetry_Int_Tables_number 1
_symmetry_space_group_name_Hall 'P 1'
loop_
_atom_site_label
_atom_site_fract_x
_atom_site_fract_y
_atom_site_fract_z
Dy1 0.000 0.000 0.000
Ti1 0.250 0.500 0.500
Ti2 0.750 0.500 0.500
Ga1 0.302 0.395 0.000
Ga2 0.698 0.605 0.000
Ga3 0.302 0.000 0.395
Ga4 0.698 0.000 0.605
```

Record 3
The following is a GGA-PBE calculation of Te2MoW2Se4 after structural relaxation, from the Materials Project.

## Properties
For the uncorrected energy, the calculation gives -0.2480 hartree per atom. The value obtained for the energy above the most stable polymorph in this dataset is 0.24 eV/f.u. The formation energy comes out at -620.0 meV per atom. Its symmetry is No. 156. The density comes out at 5.45 g/cm³.

Geometry as CIF:
```
data_Te2MoW2Se4
_cell_length_a 3.402
_cell_length_b 3.402
_cell_length_c 31.434
_cell_angle_alpha 90.00
_cell_angle_beta 90.00
_cell_angle_gamma 120.00
_symmetry_space_group_name_H-M 'P 1'
_symmetry_Int_Tables_number 1
_symmetry_space_group_name_Hall 'P 1'
loop_
_atom_site_label
_atom_site_fract_x
_atom_site_fract_y
_atom_site_fract_z
Te1 0.667 0.333 0.518
Te2 0.667 0.333 0.638
Mo1 0.667 0.333 0.347
W1 0.333 0.667 0.116
W2 0.333 0.667 0.578
Se1 0.333 0.667 0.399
Se2 0.667 0.333 0.063
Se3 0.667 0.333 0.168
Se4 0.333 0.667 0.295
```

Record 4
The following is a GGA-PBE calculation of Mg3Co after structural relaxation, from the Materials Project.

## Properties
For the uncorrected energy, the calculation gives -0.1016 hartree per atom. The formation energy comes out at 213.8 meV per atom. Its symmetry is No. 25. The density comes out at 3.10 g/cm³.

Geometry as CIF:
```
data_Mg3Co
_cell_length_a 3.045
_cell_length_b 4.602
_cell_length_c 5.031
_cell_angle_alpha 90.00
_cell_angle_beta 90.00
_cell_angle_gamma 90.00
_symmetry_space_group_name_H-M 'P 1'
_symmetry_Int_Tables_number 1
_symmetry_space_group_name_Hall 'P 1'
loop_
_atom_site_label
_atom_site_fract_x
_atom_site_fract_y
_atom_site_fract_z
Mg1 0.000 0.000 0.670
Mg2 0.000 0.500 0.315
Mg3 0.500 0.500 0.852
Co1 0.500 0.000 0.162
```